# Li6FeNi9O20 PBE with a Hubbard U optimized geometry
# V = 9.5 Å³/atom
# final energy = -4.948 eV/atom
data_Li6FeNi9O20
_cell_length_a 6.4863
_cell_length_b 7.5566
_cell_length_c 7.6269
_cell_angle_alpha 66.31
_cell_angle_beta 87.39
_cell_angle_gamma 89.02
_symmetry_space_group_name_H-M 'P -1'
_symmetry_Int_Tables_number 2
loop_
_symmetry_equiv_pos_as_xyz
'x,y,z'
'-x,-y,-z'
loop_
_atom_site_label
_atom_site_type_symbol
_atom_site_fract_x
_atom_site_fract_y
_atom_site_fract_z
Li1 Li 0.0000 0.0000 0.0000
Li2 Li 0.1955 0.7788 0.8025
Li3 Li 0.3000 0.2321 0.6973
Li4 Li 0.5000 0.0000 0.5000
Fe1 Fe 0.5000 0.5000 0.0000
Ni1 Ni 0.0000 0.5000 0.5000
Ni2 Ni 0.0992 0.9022 0.4006
Ni3 Ni 0.1943 0.2984 0.2997
Ni4 Ni 0.2993 0.7026 0.2024
Ni5 Ni 0.3971 0.0998 0.0981
O1 O 0.0271 0.7586 0.2634
O2 O 0.0790 0.6734 0.6214
O3 O 0.1108 0.1341 0.1791
O4 O 0.1730 0.0410 0.5452
O5 O 0.2339 0.5558 0.0563
O6 O 0.2655 0.4441 0.4361
O7 O 0.3160 0.9611 0.9575
O8 O 0.3736 0.8681 0.3286
O9 O 0.4270 0.3316 0.8696
O10 O 0.4749 0.2458 0.2341

# Li2Fe3F8 PBE with a Hubbard U optimized geometry
# V = 11.7 Å³/atom
# E above lowest polymorph = 0.0000 eV/atom
# final energy = -5.363 eV/atom
data_Li2Fe3F8
_cell_length_a 5.3481
_cell_length_b 5.6908
_cell_length_c 5.9274
_cell_angle_alpha 73.37
_cell_angle_beta 89.85
_cell_angle_gamma 62.67
_symmetry_space_group_name_H-M 'P -1'
_symmetry_Int_Tables_number 2
loop_
_symmetry_equiv_pos_as_xyz
'x,y,z'
'-x,-y,-z'
loop_
_atom_site_label
_atom_site_type_symbol
_atom_site_fract_x
_atom_site_fract_y
_atom_site_fract_z
Li1 Li 0.0529 0.4103 0.2563
Fe1 Fe 0.2649 0.9698 0.8601
Fe2 Fe 0.5000 0.5000 0.5000
F1 F 0.1855 0.7359 0.1830
F2 F 0.2182 0.7343 0.6852
F3 F 0.2818 0.2660 0.5615
F4 F 0.2848 0.2290 0.0429

Short version: ΔE_f = -1.28, -2.74 eV per atom, in the order given.